Record 1
First-principles (GGA-PBE) data for a geometry-optimized FeNiPt6 structure, as listed in the Materials Project.

abc: 3.9232 3.9232 7.7850
angles: 90.00 90.00 90.00
With the nearest neighbours (Å) after each atom.
Fractional positions:
Fe  0.0000  0.0000  0.0000  12 Pt 2.76-2.77
Ni  0.0000  0.0000  0.5000  12 Pt 2.77
Pt  0.0000  0.5000  0.2485  2 Fe 2.76, 8 Pt 2.76-2.77, 2 Ni 2.77
Pt  0.0000  0.5000  0.7515  8 Pt 2.76-2.77, 2 Fe 2.76, 2 Ni 2.77
Pt  0.5000  0.0000  0.2485  2 Fe 2.76, 8 Pt 2.76-2.77, 2 Ni 2.77
Pt  0.5000  0.0000  0.7515  8 Pt 2.76-2.77, 2 Fe 2.76, 2 Ni 2.77
Pt  0.5000  0.5000  0.0000  8 Pt 2.76, 4 Fe 2.77
Pt  0.5000  0.5000  0.5000  8 Pt 2.77, 4 Ni 2.77

* uncorrected energy: -6.471 eV per atom
* ΔH_f (0 K): -105 kJ/mol of formula units

---

Record 2
First-principles (GGA-PBE) data for a geometry-optimized ZrHg4P2Cl6 structure, as listed in the Materials Project.

abc: 13.3169 13.6177 16.5300
angles: 90.00 90.00 90.00
With the nearest neighbours (Å) after each atom.
Fractional positions:
Zr  0.1982  0.0105  0.1131  6 Cl 2.48-2.53
Zr  0.1982  0.4895  0.6131  6 Cl 2.48-2.53
Zr  0.3018  0.5105  0.1131  6 Cl 2.48-2.53
Zr  0.3018  0.9895  0.6131  6 Cl 2.48-2.53
Zr  0.6982  0.0105  0.3869  6 Cl 2.48-2.53
Zr  0.6982  0.4895  0.8869  6 Cl 2.48-2.53
Zr  0.8018  0.5105  0.3869  6 Cl 2.48-2.53
Zr  0.8018  0.9895  0.8869  6 Cl 2.48-2.53
Hg  0.0203  0.2458  0.2540  2 P 2.44
Hg  0.0203  0.2542  0.7540  2 P 2.44
Hg  0.0211  0.2063  0.5047  2 P 2.46
Hg  0.0211  0.2937  0.0047  2 P 2.46
Hg  0.0895  0.5078  0.8551  2 P 2.47
Hg  0.0895  0.9922  0.3551  2 P 2.47
Hg  0.2307  0.7375  0.3722  2 P 2.44
Hg  0.2307  0.7625  0.8722  2 P 2.44
Hg  0.2693  0.2375  0.3722  2 P 2.44
Hg  0.2693  0.2625  0.8722  2 P 2.44
Hg  0.4105  0.0078  0.8551  2 P 2.47
Hg  0.4105  0.4922  0.3551  2 P 2.47
Hg  0.4789  0.7063  0.5047  2 P 2.46
Hg  0.4789  0.7937  0.0047  2 P 2.46
Hg  0.4797  0.7458  0.2540  2 P 2.44
Hg  0.4797  0.7542  0.7540  2 P 2.44
Hg  0.5203  0.2458  0.2460  2 P 2.44
Hg  0.5203  0.2542  0.7460  2 P 2.44
Hg  0.5211  0.2063  0.9953  2 P 2.46
Hg  0.5211  0.2937  0.4953  2 P 2.46
Hg  0.5895  0.5078  0.6449  2 P 2.47
Hg  0.5895  0.9922  0.1449  2 P 2.47
Hg  0.7307  0.7375  0.1278  2 P 2.44
Hg  0.7307  0.7625  0.6278  2 P 2.44
Hg  0.7693  0.2375  0.1278  2 P 2.44
Hg  0.7693  0.2625  0.6278  2 P 2.44
Hg  0.9105  0.0078  0.6449  2 P 2.47
Hg  0.9105  0.4922  0.1449  2 P 2.47
Hg  0.9789  0.7063  0.9953  2 P 2.46
Hg  0.9789  0.7937  0.4953  2 P 2.46
Hg  0.9797  0.7458  0.2460  2 P 2.44
Hg  0.9797  0.7542  0.7460  2 P 2.44
P  0.0648  0.6868  0.8646  4 Hg 2.44-2.47
P  0.0648  0.8132  0.3646  4 Hg 2.44-2.47
P  0.0990  0.1719  0.3730  4 Hg 2.44-2.47
P  0.0990  0.3281  0.8730  4 Hg 2.44-2.47
P  0.4010  0.6719  0.3730  4 Hg 2.44-2.47
P  0.4010  0.8281  0.8730  4 Hg 2.44-2.47
P  0.4352  0.1868  0.8646  4 Hg 2.44-2.47
P  0.4352  0.3132  0.3646  4 Hg 2.44-2.47
P  0.5648  0.6868  0.6354  4 Hg 2.44-2.47
P  0.5648  0.8132  0.1354  4 Hg 2.44-2.47
P  0.5990  0.1719  0.1270  4 Hg 2.44-2.47
P  0.5990  0.3281  0.6270  4 Hg 2.44-2.47
P  0.9010  0.6719  0.1270  4 Hg 2.44-2.47
P  0.9010  0.8281  0.6270  4 Hg 2.44-2.47
P  0.9352  0.1868  0.6354  4 Hg 2.44-2.47
P  0.9352  0.3132  0.1354  4 Hg 2.44-2.47
Cl  0.0271  0.0119  0.1729  1 Zr 2.48
Cl  0.0271  0.4881  0.6729  1 Zr 2.48
Cl  0.1271  0.5119  0.0524  1 Zr 2.53
Cl  0.1271  0.9881  0.5524  1 Zr 2.53
Cl  0.1404  0.0980  0.9897  1 Zr 2.48
Cl  0.1404  0.4020  0.4897  1 Zr 2.48
Cl  0.1643  0.6500  0.5470  1 Zr 2.48
Cl  0.1643  0.8500  0.0470  1 Zr 2.48
Cl  0.2286  0.0711  0.7346  1 Zr 2.49
Cl  0.2286  0.4289  0.2346  1 Zr 2.49
Cl  0.2342  0.1702  0.1790  1 Zr 2.48
Cl  0.2342  0.3298  0.6790  1 Zr 2.48
Cl  0.2658  0.6702  0.1790  1 Zr 2.48
Cl  0.2658  0.8298  0.6790  1 Zr 2.48
Cl  0.2714  0.5711  0.7346  1 Zr 2.49
Cl  0.2714  0.9289  0.2346  1 Zr 2.49
Cl  0.3357  0.1500  0.5470  1 Zr 2.48
Cl  0.3357  0.3500  0.0470  1 Zr 2.48
Cl  0.3596  0.5980  0.9897  1 Zr 2.48
Cl  0.3596  0.9020  0.4897  1 Zr 2.48
Cl  0.3729  0.0119  0.0524  1 Zr 2.53
Cl  0.3729  0.4881  0.5524  1 Zr 2.53
Cl  0.4729  0.5119  0.1729  1 Zr 2.48
Cl  0.4729  0.9881  0.6729  1 Zr 2.48
Cl  0.5271  0.0119  0.3271  1 Zr 2.48
Cl  0.5271  0.4881  0.8271  1 Zr 2.48
Cl  0.6271  0.5119  0.4476  1 Zr 2.53
Cl  0.6271  0.9881  0.9476  1 Zr 2.53
Cl  0.6404  0.0980  0.5103  1 Zr 2.48
Cl  0.6404  0.4020  0.0103  1 Zr 2.48
Cl  0.6643  0.6500  0.9530  1 Zr 2.48
Cl  0.6643  0.8500  0.4530  1 Zr 2.48
Cl  0.7286  0.0711  0.7654  1 Zr 2.49
Cl  0.7286  0.4289  0.2654  1 Zr 2.49
Cl  0.7342  0.1702  0.3210  1 Zr 2.48
Cl  0.7342  0.3298  0.8210  1 Zr 2.48
Cl  0.7658  0.6702  0.3210  1 Zr 2.48
Cl  0.7658  0.8298  0.8210  1 Zr 2.48
Cl  0.7714  0.5711  0.7654  1 Zr 2.49
Cl  0.7714  0.9289  0.2654  1 Zr 2.49
Cl  0.8357  0.1500  0.9530  1 Zr 2.48
Cl  0.8357  0.3500  0.4530  1 Zr 2.48
Cl  0.8596  0.5980  0.5103  1 Zr 2.48
Cl  0.8596  0.9020  0.0103  1 Zr 2.48
Cl  0.8729  0.0119  0.4476  1 Zr 2.53
Cl  0.8729  0.4881  0.9476  1 Zr 2.53
Cl  0.9729  0.5119  0.3271  1 Zr 2.48
Cl  0.9729  0.9881  0.8271  1 Zr 2.48

* uncorrected energy: -3.338 eV per atom
* ΔH_f (0 K): -1485 kJ/mol of formula units

---

Record 3
First-principles (GGA-PBE) data for a geometry-optimized CaYTi2O6 structure, as listed in the Materials Project.

abc: 7.7174 5.5866 5.3731
angles: 90.00 90.00 90.00
With the nearest neighbours (Å) after each atom.
Fractional positions:
Ca  0.0000  0.1956  0.0000  6 O 2.34-2.60
Ca  0.5000  0.8044  0.5000  6 O 2.34-2.60
Y  0.0000  0.6867  0.5274  6 O 2.27-2.52
Y  0.5000  0.3133  0.0274  6 O 2.27-2.52
Ti  0.2495  0.2471  0.5123  6 O 1.99-2.02
Ti  0.2505  0.7529  0.0123  6 O 1.99-2.02
Ti  0.7505  0.2471  0.5123  6 O 1.99-2.02
Ti  0.7495  0.7529  0.0123  6 O 1.99-2.02
O  0.0000  0.2813  0.4265  2 Ti 1.99
O  0.0000  0.7781  0.1158  2 Ti 2.02
O  0.1978  0.9467  0.7051  2 Ti 2.01
O  0.2030  0.4582  0.8073  2 Ti 2.01
O  0.2970  0.5418  0.3073  2 Ti 2.01
O  0.3022  0.0533  0.2051  2 Ti 2.01
O  0.5000  0.2219  0.6158  2 Ti 2.02
O  0.5000  0.7187  0.9265  2 Ti 1.99
O  0.6978  0.0533  0.2051  2 Ti 2.01
O  0.7030  0.5418  0.3073  2 Ti 2.01
O  0.7970  0.4582  0.8073  2 Ti 2.01
O  0.8022  0.9467  0.7051  2 Ti 2.01

* uncorrected energy: -8.592 eV per atom
* ΔH_f (0 K): -3482 kJ/mol of formula units

---

Record 4
First-principles (GGA-PBE) data for a geometry-optimized Y2Mn3Fe structure, as listed in the Materials Project.

abc: 5.0829 5.0829 5.0829
angles: 63.18 63.18 63.18
With the nearest neighbours (Å) after each atom.
Fractional positions:
Y  0.1271  0.1271  0.1271  9 Mn 2.94-3.08, 4 Y 3.09-3.22, 3 Fe 3.11
Y  0.8729  0.8729  0.8729  9 Mn 2.94-3.08, 4 Y 3.09-3.22, 3 Fe 3.11
Mn  0.0000  0.5000  0.5000  2 Fe 2.54, 4 Mn 2.66
Mn  0.5000  0.0000  0.5000  2 Fe 2.54, 4 Mn 2.66
Mn  0.5000  0.5000  0.0000  2 Fe 2.54, 4 Mn 2.66
Fe  0.5000  0.5000  0.5000  6 Mn 2.54

* uncorrected energy: -8.040 eV per atom
* ΔH_f (0 K): 63 kJ/mol of formula units